[1]
# ThAlPt, relaxed, DFT r²SCAN
# Electronic total energy, eV per formula unit: -135.21
# DFT formation energy, meV/atom: -1173
data_ThAlPt
_symmetry_space_group_name_H-M 'P 1'
_symmetry_Int_Tables_number 1
_symmetry_space_group_name_Hall 'P 1'
_cell_length_a 7.2987
_cell_length_b 7.2987
_cell_length_c 4.1676
_cell_angle_alpha 90.00
_cell_angle_beta 90.00
_cell_angle_gamma 120.00
loop_
_atom_site_label
_atom_site_type_symbol
_atom_site_fract_x
_atom_site_fract_y
_atom_site_fract_z
Th1 Th 0.5795 0.0000 0.5000
Th2 Th 0.0000 0.5795 0.5000
Th3 Th 0.4205 0.4205 0.5000
Al1 Al 0.2304 0.0000 0.0000
Al2 Al 0.7696 0.7696 0.0000
Al3 Al 0.0000 0.2304 0.0000
Pt1 Pt 0.6667 0.3333 0.0000
Pt2 Pt 0.3333 0.6667 0.0000
Pt3 Pt 0.0000 0.0000 0.5000

---

[2]
# TiAlPt, relaxed, DFT r²SCAN
# Electronic total energy, eV per formula unit: -74.12
# DFT formation energy, meV/atom: -988
data_TiAlPt
_symmetry_space_group_name_H-M 'P 1'
_symmetry_Int_Tables_number 1
_symmetry_space_group_name_Hall 'P 1'
_cell_length_a 4.4168
_cell_length_b 4.4168
_cell_length_c 5.4077
_cell_angle_alpha 90.00
_cell_angle_beta 90.00
_cell_angle_gamma 120.00
loop_
_atom_site_label
_atom_site_type_symbol
_atom_site_fract_x
_atom_site_fract_y
_atom_site_fract_z
Pt1 Pt 0.3333 0.6667 0.7500
Pt2 Pt 0.6667 0.3333 0.2500
Al1 Al 0.6667 0.3333 0.7500
Al2 Al 0.3333 0.6667 0.2500
Ti1 Ti 0.0000 0.0000 0.5000
Ti2 Ti 0.0000 0.0000 0.0000

---

[3]
# Ti6Al16Pt7, relaxed, DFT r²SCAN
# Electronic total energy, eV per formula unit: -571.66
# DFT formation energy, meV/atom: -893
data_Ti6Al16Pt7
_symmetry_space_group_name_H-M 'P 1'
_symmetry_Int_Tables_number 1
_symmetry_space_group_name_Hall 'P 1'
_cell_length_a 8.5935
_cell_length_b 8.5935
_cell_length_c 8.5935
_cell_angle_alpha 60.00
_cell_angle_beta 60.00
_cell_angle_gamma 60.00
loop_
_atom_site_label
_atom_site_type_symbol
_atom_site_fract_x
_atom_site_fract_y
_atom_site_fract_z
Al1 Al 0.8388 0.4835 0.8388
Al2 Al 0.6201 0.1396 0.6201
Al3 Al 0.1612 0.1612 0.1612
Al4 Al 0.6201 0.6201 0.1396
Al5 Al 0.1612 0.5165 0.1612
Al6 Al 0.4835 0.8388 0.8388
Al7 Al 0.8388 0.8388 0.4835
Al8 Al 0.1396 0.6201 0.6201
Al9 Al 0.3799 0.3799 0.8604
Al10 Al 0.3799 0.3799 0.3799
Al11 Al 0.5165 0.1612 0.1612
Al12 Al 0.8388 0.8388 0.8388
Al13 Al 0.1612 0.1612 0.5165
Al14 Al 0.6201 0.6201 0.6201
Al15 Al 0.8604 0.3799 0.3799
Al16 Al 0.3799 0.8604 0.3799
Pt1 Pt 0.5000 0.0000 0.0000
Pt2 Pt 0.5000 0.5000 0.0000
Pt3 Pt 0.5000 0.5000 0.5000
Pt4 Pt 0.0000 0.5000 0.5000
Pt5 Pt 0.0000 0.0000 0.5000
Pt6 Pt 0.5000 0.0000 0.5000
Pt7 Pt 0.0000 0.5000 0.0000
Ti1 Ti 0.1732 0.8268 0.8268
Ti2 Ti 0.8268 0.1732 0.1732
Ti3 Ti 0.1732 0.8268 0.1732
Ti4 Ti 0.8268 0.8268 0.1732
Ti5 Ti 0.1732 0.1732 0.8268
Ti6 Ti 0.8268 0.1732 0.8268

---

[4]
# TmAlPt, relaxed, DFT r²SCAN
# Electronic total energy, eV per formula unit: -97.22
# DFT formation energy, meV/atom: -1294
data_TmAlPt
_symmetry_space_group_name_H-M 'P 1'
_symmetry_Int_Tables_number 1
_symmetry_space_group_name_Hall 'P 1'
_cell_length_a 4.3543
_cell_length_b 6.7968
_cell_length_c 7.6780
_cell_angle_alpha 90.00
_cell_angle_beta 90.00
_cell_angle_gamma 90.00
loop_
_atom_site_label
_atom_site_type_symbol
_atom_site_fract_x
_atom_site_fract_y
_atom_site_fract_z
Tm1 Tm 0.7500 0.4716 0.8191
Tm2 Tm 0.2500 0.0284 0.3191
Tm3 Tm 0.2500 0.5284 0.1809
Tm4 Tm 0.7500 0.9716 0.6809
Pt1 Pt 0.2500 0.7697 0.8821
Pt2 Pt 0.7500 0.7303 0.3821
Pt3 Pt 0.7500 0.2303 0.1179
Pt4 Pt 0.2500 0.2697 0.6179
Al1 Al 0.7500 0.8565 0.0633
Al2 Al 0.2500 0.6435 0.5633
Al3 Al 0.7500 0.3565 0.4367
Al4 Al 0.2500 0.1435 0.9367

---

[5]
# Tm4Al24Pt9, relaxed, DFT r²SCAN
# Electronic total energy, eV per formula unit: -802.34
# DFT formation energy, meV/atom: -997
data_Tm4Al24Pt9
_symmetry_space_group_name_H-M 'P 1'
_symmetry_Int_Tables_number 1
_symmetry_space_group_name_Hall 'P 1'
_cell_length_a 7.4654
_cell_length_b 7.4783
_cell_length_c 13.0408
_cell_angle_alpha 84.59
_cell_angle_beta 79.07
_cell_angle_gamma 59.93
loop_
_atom_site_label
_atom_site_type_symbol
_atom_site_fract_x
_atom_site_fract_y
_atom_site_fract_z
Al1 Al 0.9845 0.8323 0.0470
Al2 Al 0.6471 0.5006 0.0555
Al3 Al 0.0614 0.6307 0.8157
Al4 Al 0.1095 0.1599 0.6704
Al5 Al 0.4370 0.5065 0.6717
Al6 Al 0.4801 0.1666 0.5591
Al7 Al 0.7825 0.8345 0.6716
Al8 Al 0.8905 0.8401 0.3296
Al9 Al 0.2663 0.8360 0.8169
Al10 Al 0.8134 0.5004 0.5589
Al11 Al 0.0155 0.1677 0.9530
Al12 Al 0.9386 0.3693 0.1843
Al13 Al 0.1451 0.9580 0.1836
Al14 Al 0.3160 0.1663 0.0555
Al15 Al 0.2175 0.1655 0.3284
Al16 Al 0.5199 0.8334 0.4409
Al17 Al 0.6840 0.8337 0.9445
Al18 Al 0.3529 0.4994 0.9445
Al19 Al 0.1866 0.4996 0.4411
Al20 Al 0.1466 0.8325 0.5614
Al21 Al 0.8549 0.0420 0.8164
Al22 Al 0.8534 0.1675 0.4386
Al23 Al 0.5630 0.4935 0.3283
Al24 Al 0.7337 0.1640 0.1831
Tm1 Tm 0.7339 0.4988 0.8075
Tm2 Tm 0.2661 0.5012 0.1925
Tm3 Tm 0.3942 0.1683 0.8075
Tm4 Tm 0.6058 0.8317 0.1925
Pt1 Pt 0.4623 0.8332 0.6392
Pt2 Pt 0.2211 0.8250 0.3623
Pt3 Pt 0.6567 0.1716 0.9998
Pt4 Pt 0.8799 0.5086 0.3607
Pt5 Pt 0.5377 0.1668 0.3608
Pt6 Pt 0.0000 0.5000 0.0000
Pt7 Pt 0.1201 0.4914 0.6393
Pt8 Pt 0.7789 0.1750 0.6377
Pt9 Pt 0.3433 0.8284 0.0002

---

[6]
# UAlPt, relaxed, DFT r²SCAN
# Electronic total energy, eV per formula unit: -140.87
# DFT formation energy, meV/atom: -903
data_UAlPt
_symmetry_space_group_name_H-M 'P 1'
_symmetry_Int_Tables_number 1
_symmetry_space_group_name_Hall 'P 1'
_cell_length_a 7.0620
_cell_length_b 7.0620
_cell_length_c 4.1300
_cell_angle_alpha 90.00
_cell_angle_beta 90.00
_cell_angle_gamma 120.00
loop_
_atom_site_label
_atom_site_type_symbol
_atom_site_fract_x
_atom_site_fract_y
_atom_site_fract_z
U1 U 0.5686 0.0000 0.5000
U2 U 0.4314 0.4314 0.5000
U3 U 0.0000 0.5686 0.5000
Pt1 Pt 0.0000 0.0000 0.5000
Pt2 Pt 0.6667 0.3333 0.0000
Pt3 Pt 0.3333 0.6667 0.0000
Al1 Al 0.0000 0.2320 0.0000
Al2 Al 0.2320 0.0000 0.0000
Al3 Al 0.7680 0.7680 0.0000

---

[7]
# PuAl4, relaxed, DFT r²SCAN
# Electronic total energy, eV per formula unit: -114.97
# DFT formation energy, meV/atom: -337
data_PuAl4
_symmetry_space_group_name_H-M 'P 1'
_symmetry_Int_Tables_number 1
_symmetry_space_group_name_Hall 'P 1'
_cell_length_a 7.8502
_cell_length_b 7.8348
_cell_length_c 7.8348
_cell_angle_alpha 147.50
_cell_angle_beta 133.19
_cell_angle_gamma 58.12
loop_
_atom_site_label
_atom_site_type_symbol
_atom_site_fract_x
_atom_site_fract_y
_atom_site_fract_z
Al1 Al 0.6689 0.6983 0.9706
Al2 Al 0.3651 0.1143 0.2508
Al3 Al 0.2268 0.6975 0.5292
Al4 Al 0.6349 0.8857 0.7492
Al5 Al 0.3311 0.3017 0.0294
Al6 Al 0.7732 0.3025 0.4708
Al7 Al 0.0000 0.5000 0.5000
Al8 Al 0.5000 0.5000 0.0000
Pu1 Pu 0.1375 0.8878 0.2497
Pu2 Pu 0.8625 0.1122 0.7503

---

[8]
# PuAl2, relaxed, DFT r²SCAN
# Electronic total energy, eV per formula unit: -101.39
# DFT formation energy, meV/atom: -523
data_PuAl2
_symmetry_space_group_name_H-M 'P 1'
_symmetry_Int_Tables_number 1
_symmetry_space_group_name_Hall 'P 1'
_cell_length_a 5.5203
_cell_length_b 5.5203
_cell_length_c 5.5203
_cell_angle_alpha 60.00
_cell_angle_beta 60.00
_cell_angle_gamma 60.00
loop_
_atom_site_label
_atom_site_type_symbol
_atom_site_fract_x
_atom_site_fract_y
_atom_site_fract_z
Al1 Al 0.1250 0.6250 0.6250
Al2 Al 0.6250 0.6250 0.1250
Al3 Al 0.6250 0.1250 0.6250
Al4 Al 0.6250 0.6250 0.6250
Pu1 Pu 0.2500 0.2500 0.2500
Pu2 Pu 0.0000 0.0000 0.0000

---

Look up the DFT formation energy of the fourth one. -1294 meV/atom